# 1
Density functional theory data (PBE+U) for a relaxed Li6MgNi7O16 crystal.

Properties
MP2020-corrected energy   -5.877 eV/atom
Volume   271 Å³ per cell
Theoretical density   4.48 g cm⁻³
E   -147.5 eV/cell
Formation energy from the elements   -1.455 eV/atom

Geometry as POSCAR:
```
Li6MgNi7O16
1.0
-4.2256 0.4929 -2.4586
-3.2727 -1.8165 3.4359
-2.8809 9.5670 5.1166
O Ni Li Mg
16 7 6 1
Cartesian
-2.8894 1.7616 2.5469
-5.6866 1.8074 4.1502
-5.0079 0.7963 1.1453
-5.7599 5.8285 6.8665
-5.3713 7.4472 4.9486
-5.5035 4.5089 4.4863
-7.5869 9.2086 3.8477
-2.7332 4.6458 2.9983
-8.0546 7.4500 5.9158
-4.8757 3.7346 1.6075
-2.3246 0.7934 0.1781
-7.6460 3.5976 3.0955
-7.4897 6.4819 3.5470
-4.6925 6.4360 1.9437
-2.7923 -0.9652 2.2461
-4.6193 2.4150 -0.7726
-8.8586 4.8936 3.7179
-6.6730 6.0799 5.1930
-3.7062 2.1636 0.9009
-3.5533 5.0300 1.3290
-1.5206 3.3498 2.3760
-1.6203 0.5035 1.9153
-8.7589 7.7400 4.1786
-6.2079 4.9248 2.5415
-4.1713 3.3186 3.5524
-6.3847 -0.6334 1.6934
-3.9945 8.8768 4.4005
-4.3374 0.5064 3.1640
-6.0418 7.7370 2.9299
-3.7491 -0.6618 0.4887
```

# 2
Density functional theory data (PBE+U) for a relaxed MgZn2Co2O6 crystal.

Properties
MP2020-corrected energy   -5.964 eV/atom
Volume   120 Å³ per cell
Theoretical density   5.11 g cm⁻³
E   -58.2 eV/cell
Formation energy from the elements   -1.598 eV/atom
E above lowest polymorph   52 meV/atom

Geometry as POSCAR:
```
MgZn2Co2O6
1.0
2.5655 -4.6706 0.0333
3.3784 4.6322 0.2326
0.2160 -2.8964 4.2935
Co O Zn Mg
2 6 2 1
Cartesian
5.6954 -3.2989 4.1991
1.8087 1.0939 0.7286
2.9217 -2.3921 0.5844
5.1307 -2.3336 2.7397
3.4485 -0.5556 4.2348
1.7019 -2.9171 3.4264
1.4918 -0.2958 1.8874
4.5931 0.0465 1.4594
1.0198 -2.5325 1.4269
3.2770 -1.2630 2.2744
2.3610 -4.8431 3.0164
```

# 3
Density functional theory data (PBE+U) for a relaxed Li5Fe8B8O24 crystal.

Properties
MP2020-corrected energy   -7.825 eV/atom
Volume   483 Å³ per cell
Theoretical density   3.27 g cm⁻³
E   -317.6 eV/cell
Formation energy from the elements   -2.281 eV/atom
E above lowest polymorph   11 meV/atom

Geometry as POSCAR:
```
Li5Fe8B8O24
1.0
-5.2202 0.0000 0.0000
-0.0601 -9.0532 0.0000
2.4288 4.4109 10.2288
Fe O Li B
8 24 5 8
Cartesian
-0.9478 -4.6297 1.3283
-1.8996 -0.2034 9.0459
0.7237 -4.5273 9.0254
0.7711 -1.5162 3.9094
-1.0632 1.4333 6.4394
-3.5294 -3.2172 6.4524
-3.5004 0.0684 1.3020
-1.9542 -6.0415 3.8423
-1.2364 1.7409 8.4878
-1.7044 -6.3755 1.6613
-4.8348 -7.5241 1.6559
0.3063 -4.5853 7.0609
1.3234 -0.4481 9.4919
-1.1935 -1.2262 3.6717
1.9728 2.9661 9.0696
-1.5648 -3.3865 6.1412
0.8033 1.0375 6.5229
-1.1315 1.0977 4.3904
-4.3296 -4.0787 0.9017
-1.5910 -8.6684 0.8581
-3.1824 0.1150 3.6313
-3.9001 -5.7773 3.9265
1.4774 -2.7508 8.7220
-1.0584 3.9341 9.4315
-2.3001 -0.1138 6.7091
-2.1632 -3.0584 1.2167
0.9231 -1.3229 6.0804
-0.6143 -1.5917 8.6528
-3.7864 -3.4156 4.2321
-1.4974 -5.7751 5.9878
-4.2023 -1.8306 1.7205
-0.6042 -4.4323 3.3588
-1.7961 -3.0649 4.1445
-0.9369 -1.6696 6.7562
-0.9611 -1.4749 1.5955
0.6599 1.4621 9.1379
0.7721 1.5062 3.9671
-0.9266 -4.5845 6.4213
0.7421 -4.5608 3.8296
-3.5639 -2.9876 1.3046
0.7023 -1.6110 8.9666
-3.6806 -0.1283 6.4247
-1.8470 -0.0229 3.9066
-1.8659 2.9029 8.9856
-0.9211 -7.5173 1.3705
```

# 4
Density functional theory data (PBE+U) for a relaxed LiMnNbO4 crystal.

Properties
MP2020-corrected energy   -8.431 eV/atom
Volume   350 Å³ per cell
Theoretical density   4.16 g cm⁻³
E   -218.4 eV/cell
Formation energy from the elements   -2.579 eV/atom
E above lowest polymorph   80 meV/atom

Geometry as POSCAR:
```
LiMnNbO4
1.0
6.2274 0.0000 0.0000
0.0000 7.4172 5.2447
0.0000 -3.5689 5.0471
Nb O Li Mn
4 16 4 4
Cartesian
6.2274 -1.7844 2.5235
3.1137 -1.7844 2.5235
6.2274 0.1398 7.6695
3.1137 3.7086 2.6224
3.0278 4.0130 6.6226
3.0273 1.7597 8.8148
0.0863 1.7598 8.8147
3.1997 -0.1647 3.6692
1.5568 0.9016 6.5504
6.1414 -0.1646 3.6692
1.5568 -2.5463 3.6426
0.0859 4.0129 6.6227
3.2000 2.0885 1.4771
1.5568 2.9074 3.7137
6.1411 2.0885 1.4772
4.6705 4.8317 8.8595
4.6705 2.9466 3.7414
4.6705 0.9409 6.5781
4.6705 6.3946 6.6492
1.5568 -0.9834 1.4323
1.5568 1.0930 0.7729
1.5568 0.8312 4.3731
4.6705 3.0171 5.9187
4.6705 6.3241 4.4718
4.6707 0.9614 2.5739
1.5561 4.6700 5.1952
4.6712 -0.8216 5.0969
1.5574 2.8873 7.7180
```

# 5
Density functional theory data (PBE+U) for a relaxed Cr2PBrO4 crystal.

Properties
MP2020-corrected energy   -7.952 eV/atom
Volume   489 Å³ per cell
Theoretical density   3.79 g cm⁻³
E   -227.5 eV/cell
Formation energy from the elements   -2.184 eV/atom

Geometry as POSCAR:
```
Cr2PBrO4
1.0
-4.5036 -2.9872 -3.3095
4.1709 -0.6527 -4.9551
3.6352 -10.3863 4.4279
P O Br Cr
4 16 4 8
Cartesian
2.1232 -7.8390 -0.2047
1.1789 -6.1873 -3.6319
2.5370 -2.1405 -3.0656
0.7648 -11.8856 -0.7711
2.1155 -8.3394 -1.6997
-0.2646 -12.7045 0.1084
3.0500 -6.5796 -0.1258
2.5826 -8.9307 0.7297
-2.0335 -4.4129 -4.9717
3.5668 -1.3218 -3.9449
5.3358 -9.6130 1.1347
0.7194 -5.0957 -4.5663
1.1268 -2.0175 -3.7340
0.3384 -10.4457 -0.9160
0.2524 -7.4467 -3.7110
0.6464 -7.3800 0.1299
2.9636 -3.5802 -2.9209
2.6558 -6.6464 -3.9664
1.1870 -5.6870 -2.1370
2.1755 -12.0084 -0.1029
4.4612 -10.6923 -2.2501
1.7019 -3.5807 0.8097
-1.1591 -3.3339 -1.5870
1.6004 -10.4460 -4.6466
2.3221 -12.7389 -3.6139
-0.3355 -3.3870 -4.3302
0.9817 -1.2870 -0.2210
3.5803 -8.4073 -3.1694
2.9698 -4.9033 -1.3920
-0.2766 -5.6182 -0.6660
3.6383 -10.6383 0.4908
0.3340 -9.1242 -2.4462
```

# 6
Density functional theory data (PBE+U) for a relaxed NbV5P6O24 crystal.

Properties
MP2020-corrected energy   -8.366 eV/atom
Volume   464 Å³ per cell
Theoretical density   3.28 g cm⁻³
E   -276.2 eV/cell
Formation energy from the elements   -2.623 eV/atom

Geometry as POSCAR:
```
NbV5P6O24
1.0
7.4757 -4.3622 0.0000
7.4757 4.3622 0.0000
4.9302 0.0000 7.1138
O V P Nb
24 5 6 1
Cartesian
6.1556 -1.7228 2.2382
12.9987 0.8623 0.6428
9.0538 -2.8271 0.4478
6.9007 -0.8628 6.4653
13.1892 -0.8416 6.3237
3.3117 0.7735 2.7454
8.3727 1.5265 3.1285
13.7071 1.7291 4.8764
7.9904 -0.8715 4.1968
11.3432 -3.6995 5.2697
8.5503 3.6899 1.8549
5.6699 0.8905 3.5955
3.8285 -1.6591 1.3011
10.6780 -0.8946 0.0239
8.8812 -0.6551 1.7073
6.6752 0.8323 0.7860
4.2798 0.8856 0.0397
11.8479 0.8911 2.9002
10.8400 2.8372 6.6760
11.4708 -1.5375 3.9543
10.9508 0.6463 5.4075
9.1325 3.5432 4.3433
8.6105 -2.6486 5.8022
14.1982 -0.8874 3.5039
12.7905 0.0000 4.5766
7.1013 0.0000 2.5409
19.8513 0.0000 7.1030
17.0235 0.0000 6.0912
9.9167 0.0000 3.5483
11.7274 -3.0617 3.9136
12.4862 1.7612 1.7928
8.1668 3.0611 3.2798
10.6996 1.3005 6.7859
9.2300 -1.2389 0.3082
7.4438 -1.8222 5.3002
2.8534 0.0000 1.0210
```